Here is a relaxed structure of NbP2S8 from Materials Project. Energies are from r²SCAN.

Geometry as extended XYZ:
```
44
Lattice="5.868 -10.147 0.000 5.868 10.147 0.000 0.000 0.000 10.388" Properties=species:S:1:pos:R:3 pbc="T T T"
S 9.514 2.317 9.261
S 2.221 -2.317 1.127
S 4.968 -6.745 1.599
S 3.647 2.317 6.321
S 10.086 0.000 1.219
S 0.177 0.000 2.061
S 2.221 2.317 1.127
S 4.093 5.712 5.986
S 8.089 -2.317 4.067
S 7.643 4.435 0.792
S 8.089 2.317 4.067
S 4.968 -3.402 3.595
S 4.968 6.745 1.599
S 6.767 -3.402 6.793
S 7.643 -4.435 0.792
S 5.691 0.000 7.255
S 6.045 0.000 3.133
S 6.767 3.402 6.793
S 4.093 -5.712 5.986
S 11.558 0.000 8.326
S 7.643 -5.712 4.402
S 4.093 4.435 9.596
S 1.649 0.000 9.169
S 4.968 3.402 3.595
S 4.093 -4.435 9.596
S 9.514 -2.317 9.261
S 3.647 -2.317 6.321
S 4.219 0.000 3.975
S 6.767 6.745 8.789
S 7.517 0.000 6.413
S 7.643 5.712 4.402
S 6.767 -6.745 8.789
P 8.052 -6.306 10.233
P 3.683 -6.306 0.155
P 3.683 6.306 0.155
P 8.052 3.842 5.349
P 3.683 3.842 5.039
P 3.683 -3.842 5.039
P 8.052 -3.842 5.349
P 8.052 6.306 10.233
Nb 5.868 8.705 0.000
Nb 5.868 -1.442 5.194
Nb 5.868 -8.705 0.000
Nb 5.868 1.442 5.194
```

Results
The electronic total energy is -450.6 eV per cell. The value obtained for the density is 2.21 Mg/m³. The value obtained for the energy of formation from the pure elements is -0.51 eV/atom.